No. 1
This record from Materials Project describes Te after structural relaxation. The functional is PBE.

```
Te
1.0
3.197 0.000 0.000
0.000 3.197 0.000
0.000 0.000 3.197
Te
1
Direct
0.000 0.000 0.000
```

Electronic total energy in eV/atom: -3.097
DFT formation energy in eV/atom: 0.047



No. 2
This record from Materials Project describes SmAgAu2 after structural relaxation. The functional is PBE.

```
SmAgAu2
1.0
0.000 3.509 3.509
3.509 0.000 3.509
3.509 3.509 0.000
Sm Ag Au
1 1 2
Direct
0.000 0.000 0.000
0.500 0.500 0.500
0.250 0.250 0.250
0.750 0.750 0.750
```

Electronic total energy in eV/atom: -4.111
DFT formation energy in eV/atom: -0.586



No. 3
This record from Materials Project describes LiLa4Ho4O12 after structural relaxation. The functional is PBE.

```
LiLa4Ho4O12
1.0
5.871 0.000 0.000
0.172 6.259 0.000
0.146 0.145 8.548
Li La Ho O
1 4 4 12
Direct
0.000 0.000 0.000
0.123 0.185 0.593
0.153 0.346 0.140
0.588 0.807 0.100
0.663 0.686 0.598
0.132 0.763 0.355
0.141 0.706 0.830
0.621 0.241 0.853
0.640 0.248 0.354
0.005 0.717 0.098
0.275 0.804 0.600
0.317 0.040 0.931
0.318 0.070 0.303
0.438 0.541 0.934
0.448 0.560 0.288
0.497 0.316 0.608
0.781 0.177 0.100
0.826 0.953 0.436
0.838 0.937 0.800
0.927 0.440 0.770
0.951 0.446 0.406
```

Electronic total energy in eV/atom: -7.979
Total magnetization in Bohr magnetons per cell: 0.07
DFT formation energy in eV/atom: -3.640
E (MP2020) in eV/cell: -175.8



No. 4
This record from Materials Project describes La13Al12Si18N36O18 after structural relaxation. The functional is PBE.

```
La13Al12Si18N36O18
1.0
-6.776 6.776 6.776
6.776 -6.776 6.776
6.776 6.776 -6.776
La Al Si N O
13 12 18 36 18
Direct
0.000 0.000 0.000
0.000 0.325 0.576
0.000 0.576 0.325
0.251 0.675 0.675
0.325 0.000 0.576
0.325 0.576 0.000
0.424 0.424 0.749
0.424 0.749 0.424
0.576 0.000 0.325
0.576 0.325 0.000
0.675 0.251 0.675
0.675 0.675 0.251
0.749 0.424 0.424
0.000 0.246 0.838
0.000 0.838 0.246
0.162 0.162 0.408
0.162 0.408 0.162
0.246 0.000 0.838
0.246 0.838 0.000
0.408 0.162 0.162
0.592 0.754 0.754
0.754 0.592 0.754
0.754 0.754 0.592
0.838 0.000 0.246
0.838 0.246 0.000
0.000 0.299 0.299
0.000 0.540 0.841
0.000 0.701 0.701
0.000 0.841 0.540
0.159 0.159 0.699
0.159 0.699 0.159
0.299 0.000 0.299
0.299 0.299 0.000
0.301 0.460 0.460
0.460 0.301 0.460
0.460 0.460 0.301
0.540 0.000 0.841
0.540 0.841 0.000
0.699 0.159 0.159
0.701 0.000 0.701
0.701 0.701 0.000
0.841 0.000 0.540
0.841 0.540 0.000
0.000 0.150 0.674
0.000 0.158 0.313
0.000 0.313 0.158
0.000 0.552 0.698
0.000 0.674 0.150
0.000 0.698 0.552
0.146 0.448 0.448
0.150 0.000 0.674
0.150 0.674 0.000
0.155 0.842 0.842
0.158 0.000 0.313
0.158 0.313 0.000
0.302 0.302 0.854
0.302 0.854 0.302
0.313 0.000 0.158
0.313 0.158 0.000
0.326 0.326 0.476
0.326 0.476 0.326
0.448 0.146 0.448
0.448 0.448 0.146
0.476 0.326 0.326
0.524 0.850 0.850
0.552 0.000 0.698
0.552 0.698 0.000
0.674 0.000 0.150
0.674 0.150 0.000
0.687 0.687 0.845
0.687 0.845 0.687
0.698 0.000 0.552
0.698 0.552 0.000
0.842 0.155 0.842
0.842 0.842 0.155
0.845 0.687 0.687
0.850 0.524 0.850
0.850 0.850 0.524
0.854 0.302 0.302
0.000 0.392 0.816
0.000 0.816 0.392
0.184 0.184 0.576
0.184 0.576 0.184
0.250 0.500 0.750
0.250 0.750 0.500
0.392 0.000 0.816
0.392 0.816 0.000
0.424 0.608 0.608
0.500 0.250 0.750
0.500 0.750 0.250
0.576 0.184 0.184
0.608 0.424 0.608
0.608 0.608 0.424
0.750 0.250 0.500
0.750 0.500 0.250
0.816 0.000 0.392
0.816 0.392 0.000
```

Electronic total energy in eV/atom: -8.020
Total magnetization in Bohr magnetons per cell: 4.02
DFT formation energy in eV/atom: -2.004
E (MP2020) in eV/cell: -790.3



No. 5
This record from Materials Project describes MgGaIr2 after structural relaxation. The functional is PBE.

```
MgGaIr2
1.0
0.000 3.072 3.072
3.072 0.000 3.072
3.072 3.072 0.000
Mg Ga Ir
1 1 2
Direct
0.000 0.000 0.000
0.500 0.500 0.500
0.250 0.250 0.250
0.750 0.750 0.750
```

Electronic total energy in eV/atom: -6.041
DFT formation energy in eV/atom: -0.465



No. 6
This record from Materials Project describes BiSe after structural relaxation. The functional is PBE.

```
BiSe
1.0
2.984 -2.974 0.000
2.984 2.974 0.000
-2.963 0.000 12.560
Bi Se
2 2
Direct
0.185 0.185 0.364
0.815 0.815 0.636
0.307 0.307 0.603
0.693 0.693 0.397
```

Electronic total energy in eV/atom: -3.744
Total magnetization in Bohr magnetons per cell: 0.00
DFT formation energy in eV/atom: -0.287
E (MP2020) in eV/cell: -15.9



No. 7
This record from Materials Project describes MgNb5O9 after structural relaxation. The functional is PBE.

```
MgNb5O9
1.0
5.624 0.000 0.000
-2.812 4.870 0.000
0.000 0.000 6.853
Mg Nb O
1 5 9
Direct
0.000 0.000 0.000
0.000 0.000 0.500
0.333 0.667 0.161
0.333 0.667 0.681
0.667 0.333 0.319
0.667 0.333 0.839
0.000 0.500 0.500
0.165 0.330 0.832
0.165 0.835 0.832
0.330 0.165 0.168
0.500 0.000 0.500
0.500 0.500 0.500
0.670 0.835 0.832
0.835 0.165 0.168
0.835 0.670 0.168
```

Electronic total energy in eV/atom: -7.848
Total magnetization in Bohr magnetons per cell: 8.93
DFT formation energy in eV/atom: -1.818
E (MP2020) in eV/cell: -123.9



No. 8
This record from Materials Project describes CsSnSe3 after structural relaxation. The functional is PBE.

```
CsSnSe3
1.0
7.228 0.000 0.000
-2.343 7.277 0.000
-3.472 -2.231 7.094
Cs Sn Se
2 2 6
Direct
0.229 0.191 0.362
0.771 0.809 0.638
0.221 0.511 0.926
0.779 0.489 0.074
0.183 0.614 0.621
0.225 0.698 0.215
0.339 0.225 0.942
0.661 0.775 0.058
0.775 0.302 0.785
0.817 0.386 0.379
```

Electronic total energy in eV/atom: -3.760
Total magnetization in Bohr magnetons per cell: 0.00
DFT formation energy in eV/atom: -0.965
E (MP2020) in eV/cell: -40.4



No. 9
This record from Materials Project describes AlCoN2 after structural relaxation. The functional is PBE.

```
AlCoN2
1.0
5.395 0.000 0.000
0.000 6.303 0.000
0.000 0.000 4.881
Al Co N
4 4 8
Direct
0.088 0.125 0.000
0.412 0.625 0.500
0.588 0.375 0.000
0.912 0.875 0.500
0.079 0.623 0.993
0.421 0.123 0.493
0.579 0.877 0.993
0.921 0.377 0.493
0.082 0.630 0.378
0.084 0.123 0.393
0.416 0.623 0.893
0.418 0.130 0.878
0.582 0.870 0.378
0.584 0.377 0.393
0.916 0.877 0.893
0.918 0.370 0.878
```

Electronic total energy in eV/atom: -7.213
Total magnetization in Bohr magnetons per cell: 0.81
DFT formation energy in eV/atom: -0.512
E (MP2020) in eV/cell: -118.3



No. 10
This record from Materials Project describes TlBr after structural relaxation. The functional is PBE.

```
TlBr
1.0
4.057 0.000 0.000
0.000 4.057 0.000
0.000 0.000 4.057
Tl Br
1 1
Direct
0.000 0.000 0.000
0.500 0.500 0.500
```

Electronic total energy in eV/atom: -2.838
DFT formation energy in eV/atom: -1.106
E (MP2020) in eV/cell: -6.2



No. 11
This record from Materials Project describes As12S13 after structural relaxation. The functional is PBE.

```
As12S13
1.0
7.935 0.000 0.000
0.928 9.904 0.000
1.058 0.943 22.135
As S
24 26
Direct
0.000 0.000 0.000
0.001 0.535 0.195
0.081 0.375 0.807
0.105 0.134 0.849
0.150 0.943 0.391
0.162 0.018 0.705
0.260 0.029 0.050
0.442 0.581 0.843
0.450 0.448 0.054
0.495 0.102 0.158
0.533 0.850 0.130
0.539 0.963 0.370
0.623 0.820 0.711
0.667 0.816 0.290
0.690 0.526 0.545
0.697 0.347 0.988
0.777 0.143 0.068
0.779 0.385 0.153
0.813 0.285 0.573
0.861 0.086 0.732
0.895 0.838 0.757
0.904 0.241 0.466
0.905 0.869 0.462
0.931 0.946 0.644
0.043 0.677 0.502
0.054 0.364 0.700
0.085 0.039 0.487
0.096 0.187 0.951
0.232 0.411 0.184
0.239 0.896 0.142
0.240 0.229 0.668
0.242 0.610 0.926
0.243 0.017 0.215
0.328 0.253 0.820
0.361 0.647 0.001
0.381 0.809 0.417
0.495 0.837 0.819
0.509 0.560 0.628
0.555 0.708 0.215
0.648 0.588 0.702
0.655 0.185 0.506
0.674 0.128 0.236
0.679 0.530 0.883
0.702 0.862 0.862
0.726 0.508 0.057
0.842 0.958 0.241
0.849 0.650 0.335
0.855 0.478 0.290
0.901 0.640 0.580
0.982 0.239 0.115
```

Electronic total energy in eV/atom: -4.286
Total magnetization in Bohr magnetons per cell: 0.00
DFT formation energy in eV/atom: -0.160
E (MP2020) in eV/cell: -227.4



No. 12
This record from Materials Project describes CaMg14Mn after structural relaxation. The functional is PBE.

```
CaMg14Mn
1.0
10.352 0.000 0.000
0.000 3.203 5.594
0.000 -3.203 5.594
Ca Mg Mn
1 14 1
Direct
0.000 0.000 0.000
0.000 0.008 0.496
0.000 0.496 0.008
0.241 0.662 0.662
0.252 0.172 0.657
0.252 0.657 0.172
0.258 0.167 0.167
0.500 0.499 0.499
0.500 0.500 0.998
0.500 0.998 0.500
0.500 0.998 0.998
0.742 0.167 0.167
0.748 0.172 0.657
0.748 0.657 0.172
0.759 0.662 0.662
0.000 0.493 0.493
```

Electronic total energy in eV/atom: -2.033
Total magnetization in Bohr magnetons per cell: 4.11
DFT formation energy in eV/atom: 0.065